# 1
{"formula": "ZnS2", "functional": "meta-GGA r2SCAN", "state": "relaxed", "space_group": "Pa-3 (205)", "formation_enthalpy_0k_ev_per_atom": -0.50, "rho_g_cm3": 4.09, "cell": [[5.9454, 0.0000, 0.0000], [0.0000, 5.9454, 0.0000], [0.0000, 0.0000, 5.9454]], "species": ["Zn", "Zn", "Zn", "Zn", "S", "S", "S", "S", "S", "S", "S", "S"], "frac_coords": [[0.0000, 0.0000, 0.0000], [0.0000, 0.5000, 0.5000], [0.5000, 0.0000, 0.5000], [0.5000, 0.5000, 0.0000], [0.1002, 0.6002, 0.8998], [0.1002, 0.8998, 0.3998], [0.3998, 0.1002, 0.8998], [0.3998, 0.3998, 0.3998], [0.6002, 0.6002, 0.6002], [0.6002, 0.8998, 0.1002], [0.8998, 0.1002, 0.6002], [0.8998, 0.3998, 0.1002]]}



# 2
{"formula": "ZnS", "functional": "meta-GGA r2SCAN", "state": "relaxed", "space_group": "P3m1 (156)", "formation_enthalpy_0k_ev_per_atom": -0.96, "rho_g_cm3": 4.14, "cell": [[3.8099, 0.0000, 0.0000], [-1.9049, 3.2995, 0.0000], [0.0000, 0.0000, 80.9425]], "species": ["Zn", "Zn", "Zn", "Zn", "Zn", "Zn", "Zn", "Zn", "Zn", "Zn", "Zn", "Zn", "Zn", "Zn", "Zn", "Zn", "Zn", "Zn", "Zn", "Zn", "Zn", "Zn", "Zn", "Zn", "Zn", "Zn", "S", "S", "S", "S", "S", "S", "S", "S", "S", "S", "S", "S", "S", "S", "S", "S", "S", "S", "S", "S", "S", "S", "S", "S", "S", "S"], "frac_coords": [[0.0000, 0.0000, 0.0000], [0.0000, 0.0000, 0.0770], [0.0000, 0.0000, 0.1924], [0.0000, 0.0000, 0.3077], [0.0000, 0.0000, 0.4231], [0.0000, 0.0000, 0.5385], [0.0000, 0.0000, 0.6538], [0.0000, 0.0000, 0.7308], [0.0000, 0.0000, 0.8462], [0.3333, 0.6667, 0.1154], [0.3333, 0.6667, 0.2308], [0.3333, 0.6667, 0.3462], [0.3333, 0.6667, 0.4615], [0.3333, 0.6667, 0.5769], [0.3333, 0.6667, 0.6923], [0.3333, 0.6667, 0.8076], [0.3333, 0.6667, 0.8846], [0.3333, 0.6667, 0.9615], [0.6667, 0.3333, 0.0385], [0.6667, 0.3333, 0.1538], [0.6667, 0.3333, 0.2692], [0.6667, 0.3333, 0.3847], [0.6667, 0.3333, 0.5000], [0.6667, 0.3333, 0.6154], [0.6667, 0.3333, 0.7692], [0.6667, 0.3333, 0.9231], [0.0000, 0.0000, 0.0288], [0.0000, 0.0000, 0.1058], [0.0000, 0.0000, 0.2212], [0.0000, 0.0000, 0.3365], [0.0000, 0.0000, 0.4519], [0.0000, 0.0000, 0.5673], [0.0000, 0.0000, 0.6827], [0.0000, 0.0000, 0.7596], [0.0000, 0.0000, 0.8750], [0.3333, 0.6667, 0.1442], [0.3333, 0.6667, 0.2596], [0.3333, 0.6667, 0.3750], [0.3333, 0.6667, 0.4904], [0.3333, 0.6667, 0.6058], [0.3333, 0.6667, 0.7212], [0.3333, 0.6667, 0.8365], [0.3333, 0.6667, 0.9134], [0.3333, 0.6667, 0.9904], [0.6667, 0.3333, 0.0674], [0.6667, 0.3333, 0.1827], [0.6667, 0.3333, 0.2980], [0.6667, 0.3333, 0.4135], [0.6667, 0.3333, 0.5289], [0.6667, 0.3333, 0.6442], [0.6667, 0.3333, 0.7980], [0.6667, 0.3333, 0.9519]]}



# 3
{"formula": "ZnS", "functional": "meta-GGA r2SCAN", "state": "relaxed", "space_group": "R3m (160)", "formation_enthalpy_0k_ev_per_atom": -0.96, "rho_g_cm3": 4.14, "cell": [[1.9040, 1.0993, 12.4576], [-1.9040, 1.0993, 12.4576], [0.0000, -2.1986, 12.4576]], "species": ["Zn", "Zn", "Zn", "Zn", "S", "S", "S", "S"], "frac_coords": [[0.0000, 0.0000, 0.0000], [0.1667, 0.1667, 0.1667], [0.4167, 0.4167, 0.4167], [0.5834, 0.5834, 0.5834], [0.1042, 0.1042, 0.1042], [0.3541, 0.3541, 0.3541], [0.5210, 0.5210, 0.5210], [0.9375, 0.9375, 0.9375]]}



# 4
{"formula": "ZnS", "functional": "meta-GGA r2SCAN", "state": "relaxed", "space_group": "P3m1 (156)", "formation_enthalpy_0k_ev_per_atom": -0.96, "rho_g_cm3": 4.13, "cell": [[3.8109, 0.0000, 0.0000], [-1.9054, 3.3003, 0.0000], [0.0000, 0.0000, 56.0567]], "species": ["Zn", "Zn", "Zn", "Zn", "Zn", "Zn", "Zn", "Zn", "Zn", "Zn", "Zn", "Zn", "Zn", "Zn", "Zn", "Zn", "Zn", "Zn", "S", "S", "S", "S", "S", "S", "S", "S", "S", "S", "S", "S", "S", "S", "S", "S", "S", "S"], "frac_coords": [[0.0000, 0.0000, 0.0000], [0.0000, 0.0000, 0.1111], [0.0000, 0.0000, 0.2223], [0.0000, 0.0000, 0.3334], [0.0000, 0.0000, 0.4444], [0.0000, 0.0000, 0.5556], [0.0000, 0.0000, 0.7222], [0.0000, 0.0000, 0.8889], [0.3333, 0.6667, 0.1666], [0.3333, 0.6667, 0.3889], [0.3333, 0.6667, 0.6112], [0.3333, 0.6667, 0.7778], [0.3333, 0.6667, 0.9445], [0.6667, 0.3333, 0.0556], [0.6667, 0.3333, 0.2778], [0.6667, 0.3333, 0.5000], [0.6667, 0.3333, 0.6666], [0.6667, 0.3333, 0.8333], [0.0000, 0.0000, 0.0416], [0.0000, 0.0000, 0.1527], [0.0000, 0.0000, 0.2639], [0.0000, 0.0000, 0.3750], [0.0000, 0.0000, 0.4861], [0.0000, 0.0000, 0.5973], [0.0000, 0.0000, 0.7639], [0.0000, 0.0000, 0.9305], [0.3333, 0.6667, 0.2084], [0.3333, 0.6667, 0.4306], [0.3333, 0.6667, 0.6528], [0.3333, 0.6667, 0.8194], [0.3333, 0.6667, 0.9861], [0.6667, 0.3333, 0.0973], [0.6667, 0.3333, 0.3195], [0.6667, 0.3333, 0.5417], [0.6667, 0.3333, 0.7083], [0.6667, 0.3333, 0.8750]]}



# 5
{"formula": "ZnS", "functional": "meta-GGA r2SCAN", "state": "relaxed", "space_group": "P3m1 (156)", "formation_enthalpy_0k_ev_per_atom": -0.96, "rho_g_cm3": 4.14, "cell": [[3.8077, 0.0000, 0.0000], [-1.9039, 3.2976, 0.0000], [0.0000, 0.0000, 43.5985]], "species": ["Zn", "Zn", "Zn", "Zn", "Zn", "Zn", "Zn", "Zn", "Zn", "Zn", "Zn", "Zn", "Zn", "Zn", "S", "S", "S", "S", "S", "S", "S", "S", "S", "S", "S", "S", "S", "S"], "frac_coords": [[0.0000, 0.0000, 0.0000], [0.0000, 0.0000, 0.1429], [0.0000, 0.0000, 0.3571], [0.0000, 0.0000, 0.5715], [0.0000, 0.0000, 0.7143], [0.3333, 0.6667, 0.0714], [0.3333, 0.6667, 0.2856], [0.3333, 0.6667, 0.4287], [0.3333, 0.6667, 0.6428], [0.3333, 0.6667, 0.8571], [0.6667, 0.3333, 0.2142], [0.6667, 0.3333, 0.5002], [0.6667, 0.3333, 0.7856], [0.6667, 0.3333, 0.9287], [0.0000, 0.0000, 0.0535], [0.0000, 0.0000, 0.1964], [0.0000, 0.0000, 0.4108], [0.0000, 0.0000, 0.6249], [0.0000, 0.0000, 0.7678], [0.3333, 0.6667, 0.1250], [0.3333, 0.6667, 0.3391], [0.3333, 0.6667, 0.4822], [0.3333, 0.6667, 0.6964], [0.3333, 0.6667, 0.9107], [0.6667, 0.3333, 0.2677], [0.6667, 0.3333, 0.5537], [0.6667, 0.3333, 0.8391], [0.6667, 0.3333, 0.9822]]}



# 6
{"formula": "ZnS", "functional": "meta-GGA r2SCAN", "state": "relaxed", "space_group": "P6_3mc (186)", "formation_enthalpy_0k_ev_per_atom": -0.96, "rho_g_cm3": 4.14, "cell": [[3.8084, 0.0000, 0.0000], [-1.9042, 3.2982, 0.0000], [0.0000, 0.0000, 24.8910]], "species": ["Zn", "Zn", "Zn", "Zn", "Zn", "Zn", "Zn", "Zn", "S", "S", "S", "S", "S", "S", "S", "S"], "frac_coords": [[0.0000, 0.0000, 0.0000], [0.0000, 0.0000, 0.5000], [0.3333, 0.6667, 0.1247], [0.3333, 0.6667, 0.3753], [0.3333, 0.6667, 0.7499], [0.6667, 0.3333, 0.2499], [0.6667, 0.3333, 0.6247], [0.6667, 0.3333, 0.8753], [0.0000, 0.0000, 0.0937], [0.0000, 0.0000, 0.5937], [0.3333, 0.6667, 0.2185], [0.3333, 0.6667, 0.4689], [0.3333, 0.6667, 0.8439], [0.6667, 0.3333, 0.3439], [0.6667, 0.3333, 0.7185], [0.6667, 0.3333, 0.9689]]}



# 7
{"formula": "ZnS", "functional": "meta-GGA r2SCAN", "state": "relaxed", "space_group": "P3m1 (156)", "formation_enthalpy_0k_ev_per_atom": -0.96, "rho_g_cm3": 4.14, "cell": [[3.8060, 0.0000, 0.0000], [-1.9030, 3.2961, 0.0000], [0.0000, 0.0000, 74.7962]], "species": ["Zn", "Zn", "Zn", "Zn", "Zn", "Zn", "Zn", "Zn", "Zn", "Zn", "Zn", "Zn", "Zn", "Zn", "Zn", "Zn", "Zn", "Zn", "Zn", "Zn", "Zn", "Zn", "Zn", "Zn", "S", "S", "S", "S", "S", "S", "S", "S", "S", "S", "S", "S", "S", "S", "S", "S", "S", "S", "S", "S", "S", "S", "S", "S"], "frac_coords": [[0.0000, 0.0000, 0.0000], [0.0000, 0.0000, 0.0834], [0.0000, 0.0000, 0.1667], [0.0000, 0.0000, 0.2500], [0.0000, 0.0000, 0.3334], [0.0000, 0.0000, 0.4167], [0.0000, 0.0000, 0.5417], [0.0000, 0.0000, 0.7084], [0.0000, 0.0000, 0.8750], [0.3333, 0.6667, 0.1250], [0.3333, 0.6667, 0.2917], [0.3333, 0.6667, 0.4584], [0.3333, 0.6667, 0.5833], [0.3333, 0.6667, 0.6667], [0.3333, 0.6667, 0.7500], [0.3333, 0.6667, 0.8334], [0.3333, 0.6667, 0.9584], [0.6667, 0.3333, 0.0417], [0.6667, 0.3333, 0.2084], [0.6667, 0.3333, 0.3750], [0.6667, 0.3333, 0.5000], [0.6667, 0.3333, 0.6250], [0.6667, 0.3333, 0.7917], [0.6667, 0.3333, 0.9167], [0.0000, 0.0000, 0.0312], [0.0000, 0.0000, 0.1145], [0.0000, 0.0000, 0.1979], [0.0000, 0.0000, 0.2812], [0.0000, 0.0000, 0.3645], [0.0000, 0.0000, 0.4479], [0.0000, 0.0000, 0.5729], [0.0000, 0.0000, 0.7396], [0.0000, 0.0000, 0.9062], [0.3333, 0.6667, 0.1562], [0.3333, 0.6667, 0.3229], [0.3333, 0.6667, 0.4896], [0.3333, 0.6667, 0.6145], [0.3333, 0.6667, 0.6979], [0.3333, 0.6667, 0.7812], [0.3333, 0.6667, 0.8646], [0.3333, 0.6667, 0.9895], [0.6667, 0.3333, 0.0729], [0.6667, 0.3333, 0.2396], [0.6667, 0.3333, 0.4063], [0.6667, 0.3333, 0.5312], [0.6667, 0.3333, 0.6562], [0.6667, 0.3333, 0.8229], [0.6667, 0.3333, 0.9479]]}



# 8
{"formula": "ZnS", "functional": "meta-GGA r2SCAN", "state": "relaxed", "space_group": "P3m1 (156)", "formation_enthalpy_0k_ev_per_atom": -0.96, "rho_g_cm3": 4.14, "cell": [[3.8065, 0.0000, 0.0000], [-1.9033, 3.2965, 0.0000], [0.0000, 0.0000, 56.0803]], "species": ["Zn", "Zn", "Zn", "Zn", "Zn", "Zn", "Zn", "Zn", "Zn", "Zn", "Zn", "Zn", "Zn", "Zn", "Zn", "Zn", "Zn", "Zn", "S", "S", "S", "S", "S", "S", "S", "S", "S", "S", "S", "S", "S", "S", "S", "S", "S", "S"], "frac_coords": [[0.0000, 0.0000, 0.0000], [0.0000, 0.0000, 0.1112], [0.0000, 0.0000, 0.3334], [0.0000, 0.0000, 0.4445], [0.0000, 0.0000, 0.6112], [0.0000, 0.0000, 0.7778], [0.3333, 0.6667, 0.1667], [0.3333, 0.6667, 0.2778], [0.3333, 0.6667, 0.5000], [0.3333, 0.6667, 0.6667], [0.3333, 0.6667, 0.8334], [0.3333, 0.6667, 0.9445], [0.6667, 0.3333, 0.0556], [0.6667, 0.3333, 0.2222], [0.6667, 0.3333, 0.3889], [0.6667, 0.3333, 0.5556], [0.6667, 0.3333, 0.7223], [0.6667, 0.3333, 0.8889], [0.0000, 0.0000, 0.0416], [0.0000, 0.0000, 0.1527], [0.0000, 0.0000, 0.3749], [0.0000, 0.0000, 0.4861], [0.0000, 0.0000, 0.6528], [0.0000, 0.0000, 0.8194], [0.3333, 0.6667, 0.2082], [0.3333, 0.6667, 0.3194], [0.3333, 0.6667, 0.5416], [0.3333, 0.6667, 0.7083], [0.3333, 0.6667, 0.8749], [0.3333, 0.6667, 0.9861], [0.6667, 0.3333, 0.0972], [0.6667, 0.3333, 0.2639], [0.6667, 0.3333, 0.4306], [0.6667, 0.3333, 0.5972], [0.6667, 0.3333, 0.7639], [0.6667, 0.3333, 0.9306]]}



# 9
{"formula": "ZnS", "functional": "meta-GGA r2SCAN", "state": "relaxed", "space_group": "P3m1 (156)", "formation_enthalpy_0k_ev_per_atom": -0.96, "rho_g_cm3": 4.14, "cell": [[3.8077, 0.0000, 0.0000], [-1.9039, 3.2976, 0.0000], [0.0000, 0.0000, 74.7125]], "species": ["Zn", "Zn", "Zn", "Zn", "Zn", "Zn", "Zn", "Zn", "Zn", "Zn", "Zn", "Zn", "Zn", "Zn", "Zn", "Zn", "Zn", "Zn", "Zn", "Zn", "Zn", "Zn", "Zn", "Zn", "S", "S", "S", "S", "S", "S", "S", "S", "S", "S", "S", "S", "S", "S", "S", "S", "S", "S", "S", "S", "S", "S", "S", "S"], "frac_coords": [[0.0000, 0.0000, 0.0000], [0.0000, 0.0000, 0.1250], [0.0000, 0.0000, 0.2083], [0.0000, 0.0000, 0.2917], [0.0000, 0.0000, 0.3750], [0.0000, 0.0000, 0.5000], [0.0000, 0.0000, 0.6250], [0.0000, 0.0000, 0.7500], [0.0000, 0.0000, 0.8750], [0.3333, 0.6667, 0.0833], [0.3333, 0.6667, 0.2500], [0.3333, 0.6667, 0.4167], [0.3333, 0.6667, 0.5417], [0.3333, 0.6667, 0.6667], [0.3333, 0.6667, 0.7917], [0.3333, 0.6667, 0.9167], [0.6667, 0.3333, 0.0417], [0.6667, 0.3333, 0.1667], [0.6667, 0.3333, 0.3333], [0.6667, 0.3333, 0.4583], [0.6667, 0.3333, 0.5833], [0.6667, 0.3333, 0.7083], [0.6667, 0.3333, 0.8333], [0.6667, 0.3333, 0.9583], [0.0000, 0.0000, 0.0313], [0.0000, 0.0000, 0.1562], [0.0000, 0.0000, 0.2395], [0.0000, 0.0000, 0.3229], [0.0000, 0.0000, 0.4062], [0.0000, 0.0000, 0.5312], [0.0000, 0.0000, 0.6562], [0.0000, 0.0000, 0.7812], [0.0000, 0.0000, 0.9062], [0.3333, 0.6667, 0.1146], [0.3333, 0.6667, 0.2813], [0.3333, 0.6667, 0.4479], [0.3333, 0.6667, 0.5729], [0.3333, 0.6667, 0.6979], [0.3333, 0.6667, 0.8229], [0.3333, 0.6667, 0.9479], [0.6667, 0.3333, 0.0729], [0.6667, 0.3333, 0.1979], [0.6667, 0.3333, 0.3646], [0.6667, 0.3333, 0.4896], [0.6667, 0.3333, 0.6146], [0.6667, 0.3333, 0.7396], [0.6667, 0.3333, 0.8646], [0.6667, 0.3333, 0.9895]]}



# 10
{"formula": "ZnS", "functional": "meta-GGA r2SCAN", "state": "relaxed", "space_group": "P6_3mc (186)", "formation_enthalpy_0k_ev_per_atom": -0.96, "rho_g_cm3": 4.14, "cell": [[3.8073, 0.0000, 0.0000], [-1.9037, 3.2972, 0.0000], [0.0000, 0.0000, 31.1424]], "species": ["Zn", "Zn", "Zn", "Zn", "Zn", "Zn", "Zn", "Zn", "Zn", "Zn", "S", "S", "S", "S", "S", "S", "S", "S", "S", "S"], "frac_coords": [[0.0000, 0.0000, 0.0000], [0.0000, 0.0000, 0.2001], [0.0000, 0.0000, 0.5000], [0.0000, 0.0000, 0.7001], [0.3333, 0.6667, 0.1001], [0.3333, 0.6667, 0.4001], [0.3333, 0.6667, 0.8001], [0.6667, 0.3333, 0.3001], [0.6667, 0.3333, 0.6001], [0.6667, 0.3333, 0.9001], [0.0000, 0.0000, 0.0749], [0.0000, 0.0000, 0.2750], [0.0000, 0.0000, 0.5749], [0.0000, 0.0000, 0.7750], [0.3333, 0.6667, 0.1751], [0.3333, 0.6667, 0.4750], [0.3333, 0.6667, 0.8750], [0.6667, 0.3333, 0.3750], [0.6667, 0.3333, 0.6751], [0.6667, 0.3333, 0.9750]]}



# 11
{"formula": "ZnS", "functional": "meta-GGA r2SCAN", "state": "relaxed", "space_group": "P3m1 (156)", "formation_enthalpy_0k_ev_per_atom": -0.96, "rho_g_cm3": 4.14, "cell": [[3.8088, 0.0000, 0.0000], [-1.9044, 3.2985, 0.0000], [0.0000, 0.0000, 74.6603]], "species": ["Zn", "Zn", "Zn", "Zn", "Zn", "Zn", "Zn", "Zn", "Zn", "Zn", "Zn", "Zn", "Zn", "Zn", "Zn", "Zn", "Zn", "Zn", "Zn", "Zn", "Zn", "Zn", "Zn", "Zn", "S", "S", "S", "S", "S", "S", "S", "S", "S", "S", "S", "S", "S", "S", "S", "S", "S", "S", "S", "S", "S", "S", "S", "S"], "frac_coords": [[0.0000, 0.0000, 0.0000], [0.0000, 0.0000, 0.0834], [0.0000, 0.0000, 0.2084], [0.0000, 0.0000, 0.3334], [0.0000, 0.0000, 0.5000], [0.0000, 0.0000, 0.6250], [0.0000, 0.0000, 0.7500], [0.0000, 0.0000, 0.8750], [0.3333, 0.6667, 0.0417], [0.3333, 0.6667, 0.1667], [0.3333, 0.6667, 0.2917], [0.3333, 0.6667, 0.4167], [0.3333, 0.6667, 0.5417], [0.3333, 0.6667, 0.6667], [0.3333, 0.6667, 0.7917], [0.3333, 0.6667, 0.9167], [0.6667, 0.3333, 0.1250], [0.6667, 0.3333, 0.2500], [0.6667, 0.3333, 0.3750], [0.6667, 0.3333, 0.4584], [0.6667, 0.3333, 0.5834], [0.6667, 0.3333, 0.7084], [0.6667, 0.3333, 0.8334], [0.6667, 0.3333, 0.9584], [0.0000, 0.0000, 0.0312], [0.0000, 0.0000, 0.1146], [0.0000, 0.0000, 0.2396], [0.0000, 0.0000, 0.3646], [0.0000, 0.0000, 0.5313], [0.0000, 0.0000, 0.6563], [0.0000, 0.0000, 0.7813], [0.0000, 0.0000, 0.9063], [0.3333, 0.6667, 0.0730], [0.3333, 0.6667, 0.1980], [0.3333, 0.6667, 0.3230], [0.3333, 0.6667, 0.4480], [0.3333, 0.6667, 0.5730], [0.3333, 0.6667, 0.6980], [0.3333, 0.6667, 0.8229], [0.3333, 0.6667, 0.9479], [0.6667, 0.3333, 0.1563], [0.6667, 0.3333, 0.2813], [0.6667, 0.3333, 0.4062], [0.6667, 0.3333, 0.4896], [0.6667, 0.3333, 0.6146], [0.6667, 0.3333, 0.7396], [0.6667, 0.3333, 0.8646], [0.6667, 0.3333, 0.9896]]}



Number 9 is which compound?
ZnS